No. 1
16
Lattice="-1.599 3.004 6.143 -6.190 -3.317 0.012 2.907 -5.412 3.403" Properties=species:S:1:pos:R:3 comment="AlAs (PBE, optimized geometry)" total_energy_ev_per_cell=-72.60 formation_enthalpy_0k_mev_per_atom=-335 mass_density_g_cm3=3.909 pbc="T T T"
Al -1.667 -1.955 3.264
Al -1.883 -6.262 3.845
Al -0.412 -1.561 7.412
Al -5.801 -1.671 4.594
Al -3.214 -3.770 6.294
Al -2.998 0.538 5.713
Al -4.469 -4.163 2.146
Al 0.919 -4.054 4.963
As -0.689 -0.808 1.350
As -4.025 -5.241 4.396
As -0.750 -3.911 6.866
As -4.299 -1.489 6.504
As -4.192 -4.916 8.208
As -0.856 -0.484 5.161
As -4.132 -1.813 2.692
As -0.583 -4.236 3.054

=====

No. 2
2
Lattice="-1.155 -0.028 2.467 -0.894 -2.534 -0.447 4.515 -1.961 2.093" Properties=species:S:1:pos:R:3 comment="AlAs (PBE, optimized geometry)" total_energy_ev_per_cell=-8.12 formation_enthalpy_0k_mev_per_atom=140 mass_density_g_cm3=4.264 pbc="T T T"
Al 2.257 -0.980 1.046
As 0.000 0.000 0.000

=====

No. 3
18
Lattice="5.098 6.535 0.000 -5.098 6.535 0.000 0.000 0.107 6.682" Properties=species:S:1:pos:R:3 comment="Ca3Al2As4 (PBE, optimized geometry)" total_energy_ev_per_cell=-81.43 formation_enthalpy_0k_mev_per_atom=-952 polymorph_energy_mev_per_atom=0 mass_density_g_cm3=3.535 pbc="T T T"
Ca 1.010 6.616 5.011
Ca -1.010 6.562 1.670
Ca -3.792 5.052 6.494
Ca -3.792 8.179 3.528
Ca 3.792 8.125 0.187
Ca 3.792 4.999 3.153
Al -1.267 3.934 3.935
Al -1.267 9.297 6.088
Al 1.267 9.243 2.747
Al 1.267 3.881 0.594
As -0.901 8.612 3.753
As -0.901 4.619 6.270
As 0.901 4.566 2.929
As 0.901 8.558 0.412
As 3.360 8.041 3.498
As 3.360 5.190 6.524
As -3.360 5.136 3.184
As -3.360 7.988 0.157

=====

No. 4
18
Lattice="4.072 6.758 0.000 -4.072 6.758 0.000 0.000 0.492 8.269" Properties=species:S:1:pos:R:3 comment="Ca3Al2As4 (PBE, optimized geometry)" total_energy_ev_per_cell=-79.31 formation_enthalpy_0k_mev_per_atom=-834 polymorph_energy_mev_per_atom=118 mass_density_g_cm3=3.458 pbc="T T T"
Ca 2.832 7.128 6.202
Ca -2.233 9.076 7.127
Ca 2.233 4.934 1.142
Ca 2.233 8.830 2.992
Ca -2.832 6.882 2.067
Ca -2.233 5.180 5.277
Al -0.921 9.625 3.782
Al -0.921 4.138 0.353
Al 0.921 4.384 4.487
Al 0.921 9.872 7.916
As 0.723 9.068 5.548
As 0.723 5.187 6.855
As -0.723 8.822 1.414
As -0.723 4.941 2.721
As 0.930 12.441 7.966
As 0.930 1.814 4.438
As -0.930 1.568 0.304
As -0.930 12.195 3.831